# 1
Below is Y11In6Ge4 after structural relaxation, with properties calculated at the PBE level. Values from VASP.

Quantum ESPRESSO input file:
```
&SYSTEM
  ibrav = 0, nat = 42, ntyp = 3
/
ATOMIC_SPECIES
Y 88.91 Y.upf
In 114.82 In.upf
Ge 72.64 Ge.upf
CELL_PARAMETERS angstrom
-1.6979 -9.8530 5.8787
3.7694 5.1100 9.7059
-8.6887 4.7245 -6.0590
ATOMIC_POSITIONS angstrom
Y 0.1974 -0.8074 11.5956
Y -6.0446 -0.9741 3.7228
Y -1.1622 -4.5283 10.6438
Y -4.6850 2.7468 4.6745
Y -6.8146 0.7888 -2.0699
Y -0.5725 0.9556 5.8028
Y -5.4550 4.5098 -1.1182
Y -1.9321 -2.7654 4.8511
Y -3.6089 -5.9713 5.5516
Y -5.1282 -2.9340 6.6779
Y -0.0309 3.8208 8.0561
Y -3.2388 2.2369 8.0005
Y -3.0083 5.9528 3.9741
Y -1.4890 2.9154 2.8477
Y -6.5862 -3.8394 1.4695
Y -3.3784 -2.2554 1.5252
Y -5.0645 1.5571 1.1471
Y -1.5527 -1.5757 8.3786
Y 1.9603 0.1589 8.4395
Y 0.1111 -4.9020 7.1451
Y 1.7296 -3.9603 13.0128
Y 0.3418 -0.7827 2.5718
In -3.5127 1.7817 -1.9479
In -3.8125 -0.1792 6.1469
In 2.2871 2.8326 6.2528
In -0.9236 -5.9545 4.0052
In -3.1045 -1.8003 11.4735
In -2.8047 0.1606 3.3787
In -0.2156 -7.5757 9.3319
In 2.9951 1.2115 11.5794
In -1.9725 0.6065 0.4468
In -4.6446 -0.6250 9.0789
In 3.0648 3.1817 9.2127
In -0.9933 -7.9247 6.3720
Ge -4.0437 4.1351 1.7960
Ge -2.5735 -4.1536 7.7297
Ge -0.6736 1.0459 9.0596
Ge -5.9435 -1.0644 0.4661
Ge 1.2711 -2.9103 9.5627
Ge 0.8004 -1.8327 6.0219
Ge -4.6754 -3.7500 3.8060
Ge -1.9418 3.7315 5.7196
```

E, eV per cell: -241.28
Formation enthalpy at 0 K, meV/atom: -691
M_tot, μB per formula unit: 0.00

=====

# 2
Below is K2VCl6 after structural relaxation, with properties calculated at the PBE level. Values from VASP.

Quantum ESPRESSO input file:
```
&SYSTEM
  ibrav = 0, nat = 9, ntyp = 3
/
ATOMIC_SPECIES
K 39.10 K.upf
V 50.94 V.upf
Cl 35.45 Cl.upf
CELL_PARAMETERS angstrom
0.0000 4.9691 4.9691
4.9691 0.0000 4.9691
4.9691 4.9691 0.0000
ATOMIC_POSITIONS angstrom
K 2.4845 2.4845 2.4845
K 7.4536 7.4536 7.4536
V 0.0000 0.0000 0.0000
Cl 2.3224 4.9691 4.9691
Cl 7.6157 4.9691 4.9691
Cl 4.9691 2.3224 4.9691
Cl 4.9691 7.6157 4.9691
Cl 4.9691 4.9691 2.3224
Cl 4.9691 4.9691 7.6157
```

E, eV per cell: -36.10
Formation enthalpy at 0 K, meV/atom: -1932
Total energy after the MP2020 corrections, eV/atom: -4.420

=====

# 3
Below is HoMg2Cu9 after structural relaxation, with properties calculated at the PBE level. Values from VASP.

Quantum ESPRESSO input file:
```
&SYSTEM
  ibrav = 0, nat = 24, ntyp = 3
/
ATOMIC_SPECIES
Ho 164.93 Ho.upf
Mg 24.30 Mg.upf
Cu 63.55 Cu.upf
CELL_PARAMETERS angstrom
3.5170 0.0788 -3.5425
-4.8218 -0.2266 -1.2742
-0.6768 16.1603 -0.3126
ATOMIC_POSITIONS angstrom
Ho 0.5682 4.0171 -2.8646
Ho -2.5498 11.9955 -2.2648
Mg 0.4212 7.5261 -2.9324
Mg -2.6968 15.5045 -2.3326
Mg 0.7152 0.5081 -2.7967
Mg -2.4029 8.4865 -2.1969
Cu -2.2114 3.9153 -2.1084
Cu 0.2298 12.0972 -3.0209
Cu -3.6753 5.9112 -1.7731
Cu -1.2845 6.0236 -1.1414
Cu -0.5076 12.1203 -0.2345
Cu -0.1692 4.0401 -0.0782
Cu 0.0000 0.0000 0.0000
Cu -0.3384 8.0802 -0.1563
Cu -1.1131 1.9308 -1.0622
Cu 1.6937 10.1013 -3.3562
Cu -0.0501 10.0623 -1.5997
Cu -1.7601 1.8575 -3.4504
Cu -3.5039 1.8184 -1.6940
Cu -0.8685 14.0817 -4.0671
Cu 1.5223 14.1941 -3.4354
Cu -0.6971 9.9890 -3.9880
Cu -0.2215 14.1550 -1.6789
Cu -1.9315 5.9503 -3.5296
```

E, eV per cell: -93.56
Formation enthalpy at 0 K, meV/atom: -175

=====

# 4
Below is YTa3P6O24 after structural relaxation, with properties calculated at the PBE level. Values from VASP.

Quantum ESPRESSO input file:
```
&SYSTEM
  ibrav = 0, nat = 102, ntyp = 4
/
ATOMIC_SPECIES
Y 88.91 Y.upf
Ta 180.95 Ta.upf
P 30.97 P.upf
O 16.00 O.upf
CELL_PARAMETERS angstrom
8.8886 0.0000 0.0000
-4.4443 7.6978 0.0000
0.0000 0.0000 22.8598
ATOMIC_POSITIONS angstrom
Y 0.0000 0.0000 8.3448
Y 4.4443 2.5659 15.8399
Y 4.4443 2.5659 4.3183
Ta 0.0000 0.0000 19.6363
Ta 0.0000 0.0000 14.6634
Ta 0.0000 0.0000 3.3693
Ta 4.4443 2.5659 22.3941
Ta 4.4443 2.5659 10.9043
Ta 0.0000 5.1319 0.4622
Ta 0.0000 5.1319 11.9529
Ta 0.0000 5.1319 7.0382
Ta 0.0000 5.1319 18.4885
P -1.9154 7.5994 5.7456
P 3.0947 5.5569 5.7456
P -1.1792 2.2393 5.7456
P 1.1484 2.1723 17.1854
P -3.1373 5.6171 17.1854
P 1.9889 7.6062 17.1854
P 7.0077 2.5531 13.3210
P 3.1515 0.3525 13.3210
P 3.1738 4.7923 13.3210
P 5.7229 4.8442 1.8489
P 5.7781 0.3195 1.8489
P 1.8320 2.5341 1.8489
P 2.5275 5.0893 20.9254
P -1.3007 2.9643 20.9254
P -1.2269 7.3421 20.9254
P 1.1167 7.3375 9.5480
P 1.3518 3.0619 9.5480
P -2.4685 4.9961 9.5480
O 1.7023 0.1103 6.9755
O 3.6887 6.1684 6.9755
O 7.9420 1.4191 6.9755
O 0.8007 1.3346 18.4560
O 5.1998 6.3371 18.4560
O 7.3325 0.0261 18.4560
O 2.8687 7.3960 15.9276
O 0.5264 1.5154 15.9276
O -3.3951 6.4842 15.9276
O 3.4035 6.4690 4.4556
O -0.5438 1.5158 4.4556
O -2.8597 7.4108 4.4556
O 6.2418 2.8840 14.5687
O 3.8211 0.8502 14.5687
O 3.2701 3.9636 14.5687
O 5.6829 3.9634 3.0512
O 5.0353 0.7946 3.0512
O 2.6148 2.9398 3.0512
O 2.8169 2.3250 0.6138
O 5.0494 4.0958 0.6138
O 5.4667 1.2769 0.6138
O 3.3871 1.3007 12.1126
O 3.8772 4.1142 12.1126
O 6.0687 2.2829 12.1126
O 1.6192 5.3611 22.1304
O -0.6111 3.6150 22.1304
O -1.0081 6.4195 22.1304
O 0.7517 6.4946 10.7982
O 0.8043 3.7995 10.7982
O -1.5560 5.1015 10.7982
O -1.5942 4.8016 8.2858
O 0.5110 6.6776 8.2858
O 1.0831 3.9164 8.2858
O -1.0583 3.8700 19.6923
O -0.5637 6.6793 19.6923
O 1.6220 4.8463 19.6923
O -3.3504 6.2037 9.5359
O 2.6034 7.4974 9.5359
O 0.7469 1.6944 9.5359
O -0.6834 1.5532 20.7090
O -2.7575 7.5131 20.7090
O 3.4409 6.3293 20.7090
O 7.8907 1.2651 13.5617
O 1.5946 0.2317 13.5617
O 3.8477 6.2009 13.5617
O 5.0653 6.2234 2.0429
O 7.3013 0.1994 2.0429
O 0.9664 1.2749 2.0429
O 5.5591 1.1158 17.1114
O 2.6311 2.3256 17.1114
O 5.1428 4.2564 17.1114
O 3.5745 4.1649 5.4678
O 6.2640 2.5198 5.4678
O 3.4945 1.0131 5.4678
O 3.4198 3.8572 21.1981
O 6.0749 2.8075 21.1981
O 3.8383 1.0330 21.1981
O 4.8606 1.0232 9.7881
O 2.9001 2.9768 9.7881
O 5.5722 3.6978 9.7881
O 0.8940 3.7254 1.4330
O -1.6650 5.0609 1.4330
O 0.7710 6.6093 1.4330
O -0.8144 6.6105 12.9966
O 1.6877 5.0979 12.9966
O -0.8733 3.6872 12.9966
O -1.1160 6.2509 5.9078
O 1.5271 5.5388 5.9078
O -0.4111 3.6059 5.9078
O 0.4408 3.5593 17.4181
O -1.5822 5.5364 17.4181
O 1.1414 6.2999 17.4181
```

E, eV per cell: -843.68
Formation enthalpy at 0 K, meV/atom: -3072
Total energy after the MP2020 corrections, eV/atom: -8.756
M_tot, μB per formula unit: 0.00

=====

# 5
Below is Al13Os4 after structural relaxation, with properties calculated at the PBE level. Values from VASP.

Quantum ESPRESSO input file:
```
&SYSTEM
  ibrav = 0, nat = 17, ntyp = 2
/
ATOMIC_SPECIES
Al 26.98 Al.upf
Os 190.23 Os.upf
CELL_PARAMETERS angstrom
3.3072 -7.1335 4.5924
5.2028 -3.8126 6.4273
-3.6737 -1.6109 6.7106
ATOMIC_POSITIONS angstrom
Al 6.8307 -9.7731 10.6314
Al 3.3753 -10.1398 14.8649
Al 4.2757 -6.7608 7.8190
Al 2.6741 -7.4518 10.7244
Al -1.9945 -2.7839 7.0988
Al 4.0463 -9.1016 12.2927
Al -0.8575 -1.6267 3.8299
Al 2.1622 -5.1051 7.0059
Al 4.2550 -5.4730 5.5099
Al 0.5605 -5.7962 9.9113
Al 0.7900 -3.4553 5.4376
Al 1.4610 -2.4171 2.8654
Al 5.6937 -10.9303 13.9004
Os -0.6486 -0.4059 1.4047
Os -0.0990 -4.3615 7.9960
Os 5.4849 -12.1510 16.3256
Os 4.9352 -8.1954 9.7342
```

E, eV per cell: -101.15
Formation enthalpy at 0 K, meV/atom: -444

=====

# 6
Below is UCuNiGe2 after structural relaxation, with properties calculated at the PBE level. Values from VASP.

Quantum ESPRESSO input file:
```
&SYSTEM
  ibrav = 0, nat = 5, ntyp = 4
/
ATOMIC_SPECIES
U 238.03 U.upf
Cu 63.55 Cu.upf
Ni 58.69 Ni.upf
Ge 72.64 Ge.upf
CELL_PARAMETERS angstrom
-1.0607 -1.0978 5.5672
-0.2307 4.2981 3.8467
-2.1620 -1.3214 -5.1869
ATOMIC_POSITIONS angstrom
U 0.0000 0.0000 0.0000
Cu -1.5192 2.2885 1.6834
Ni -1.9342 -0.4095 2.5436
Ge -0.8042 1.9930 5.8624
Ge -0.4872 1.2074 3.5515
```

E, eV per cell: -31.56
Formation enthalpy at 0 K, meV/atom: -229
M_tot, μB per formula unit: 0.10

=====

# 7
Below is NaPrZr2O6 after structural relaxation, with properties calculated at the PBE level. Values from VASP.

Quantum ESPRESSO input file:
```
&SYSTEM
  ibrav = 0, nat = 10, ntyp = 4
/
ATOMIC_SPECIES
Na 22.99 Na.upf
Pr 140.91 Pr.upf
Zr 91.22 Zr.upf
O 16.00 O.upf
CELL_PARAMETERS angstrom
0.0000 -4.1606 -4.1606
4.1606 0.0000 -4.1606
4.1606 -4.1606 0.0000
ATOMIC_POSITIONS angstrom
Na 4.1606 -4.1606 -4.1606
Pr 0.0000 0.0000 0.0000
Zr 2.0803 -2.0803 -2.0803
Zr 6.2409 -6.2409 -6.2409
O 2.0803 -2.0803 0.0000
O 2.0803 -2.0803 -4.1606
O 4.1606 -2.0803 -2.0803
O 0.0000 -2.0803 -2.0803
O 2.0803 0.0000 -2.0803
O 2.0803 -4.1606 -2.0803
```

E, eV per cell: -82.23
Formation enthalpy at 0 K, meV/atom: -3347
Total energy after the MP2020 corrections, eV/atom: -8.636
M_tot, μB per formula unit: 0.00

=====

# 8
Below is TbAlGa after structural relaxation, with properties calculated at the PBE level. Values from VASP.

Quantum ESPRESSO input file:
```
&SYSTEM
  ibrav = 0, nat = 3, ntyp = 3
/
ATOMIC_SPECIES
Tb 158.93 Tb.upf
Al 26.98 Al.upf
Ga 69.72 Ga.upf
CELL_PARAMETERS angstrom
2.2230 -3.8504 0.0000
2.2230 3.8504 0.0000
0.0000 0.0000 3.6375
ATOMIC_POSITIONS angstrom
Tb 0.0000 0.0000 0.0000
Al 2.2230 1.2835 1.8187
Ga 2.2230 -1.2835 1.8187
```

E, eV per cell: -13.13
Formation enthalpy at 0 K, meV/atom: -575

=====

# 9
Below is Ba4Ca4Tl3Cu6O19 after structural relaxation, with properties calculated at the PBE level. Values from VASP.

Quantum ESPRESSO input file:
```
&SYSTEM
  ibrav = 0, nat = 36, ntyp = 5
/
ATOMIC_SPECIES
Ba 137.33 Ba.upf
Ca 40.08 Ca.upf
Tl 204.38 Tl.upf
Cu 63.55 Cu.upf
O 16.00 O.upf
CELL_PARAMETERS angstrom
-1.7775 -0.0043 -3.4352
2.6544 -2.4569 -1.3704
-19.9134 -25.4495 12.5130
ATOMIC_POSITIONS angstrom
Ba -17.9478 -24.5879 9.3174
Ba -1.0887 -3.3227 -1.6100
Ba -12.0002 -16.4399 6.2298
Ba -7.0363 -11.4707 1.4776
Ca -5.0284 -8.7199 0.4352
Ca -3.1677 -6.1708 -0.5307
Ca -15.8688 -21.7398 8.2381
Ca -14.0081 -19.1907 7.2721
Tl -9.9445 -15.4548 2.9874
Tl 0.0000 0.0000 0.0000
Tl -9.0920 -12.4558 4.7200
Cu -12.6974 -19.2263 4.4165
Cu -2.7218 -3.7287 1.4130
Cu -6.3391 -8.6844 3.2909
Cu -16.3147 -24.1819 6.2944
Cu -14.4684 -21.6524 5.3359
Cu -4.5681 -6.2582 2.3715
O -1.4617 -5.0491 0.7626
O -17.5748 -22.8615 6.9448
O -3.6776 -3.8228 -0.2698
O -11.0876 -17.0208 3.5808
O -5.4661 -6.2729 0.6587
O -14.0009 -17.9654 5.0894
O -10.2654 -14.0632 5.3291
O -17.8533 -26.2897 7.0931
O -5.0356 -9.9452 2.6179
O -15.7864 -20.4114 6.0163
O -7.9489 -10.8898 4.1266
O -11.7850 -19.1917 6.1218
O -3.2501 -7.4992 1.6910
O -7.2515 -8.7189 1.5855
O -15.3589 -24.0878 7.9771
O -1.1832 -1.6209 0.6142
O 0.4384 -1.2306 -2.4028
O -8.7711 -13.8474 2.3782
O -13.5704 -21.6377 7.0487
```

E, eV per cell: -199.76
Formation enthalpy at 0 K, meV/atom: -1984
Total energy after the MP2020 corrections, eV/atom: -5.912
M_tot, μB per formula unit: 0.00

=====

# 10
Below is Sc after structural relaxation, with properties calculated at the PBE level. Values from VASP.

Quantum ESPRESSO input file:
```
&SYSTEM
  ibrav = 0, nat = 4, ntyp = 1
/
ATOMIC_SPECIES
Sc 44.96 Sc.upf
CELL_PARAMETERS angstrom
-2.0484 -2.7830 4.1791
-0.8559 -4.2539 -3.2523
3.1341 -1.1961 0.7397
ATOMIC_POSITIONS angstrom
Sc -1.4522 -3.5184 0.4634
Sc 0.0000 0.0000 0.0000
Sc 0.6452 -2.0286 2.4835
Sc 1.0367 -2.6859 -1.2805
```

E, eV per cell: -24.88
Energy above the lowest structure with this stoichiometry, eV per formula unit: 0.11
Formation enthalpy at 0 K, meV/atom: 112
M_tot, μB per formula unit: 0.02

=====

# 11
Below is Na4P4H10N4O11 after structural relaxation, with properties calculated at the PBE level. Values from VASP.

Quantum ESPRESSO input file:
```
&SYSTEM
  ibrav = 0, nat = 66, ntyp = 5
/
ATOMIC_SPECIES
Na 22.99 Na.upf
P 30.97 P.upf
H 1.01 H.upf
N 14.01 N.upf
O 16.00 O.upf
CELL_PARAMETERS angstrom
8.2691 -0.0214 2.0763
0.1254 8.5497 1.0321
0.0118 -0.0393 10.3063
ATOMIC_POSITIONS angstrom
Na 1.4438 5.3596 1.5750
Na 6.9626 3.1295 11.8397
Na 7.9657 5.7755 6.9188
Na 0.4406 2.7136 6.4959
Na 3.9497 3.2237 10.5851
Na 4.4566 5.2654 2.8296
Na 7.4869 0.6016 6.0472
Na 0.9194 7.8875 7.3675
P 2.3208 2.2721 3.2970
P 6.0855 6.2170 10.1177
P 5.3740 7.7241 4.9427
P 3.0323 0.7650 8.4720
P 2.4522 7.7784 4.0909
P 5.9541 0.7107 9.3238
P 5.1502 2.2003 4.3372
P 3.2561 6.2888 9.0776
H 0.0717 3.6599 3.1782
H 8.3346 4.8292 10.2365
H 7.1147 4.2345 4.4766
H 1.2916 4.2546 8.9381
H 5.5717 0.9218 2.4680
H 2.8346 7.5673 10.9467
H 3.1630 1.7930 5.4058
H 5.2433 6.6961 8.0089
H 7.3416 6.9484 3.1068
H 1.0647 1.5407 10.3079
H 0.1512 7.5830 10.3805
H 8.2552 0.9061 3.0342
H 2.6961 0.8948 1.4752
H 5.7102 7.5943 11.9395
H 6.2836 3.2904 6.8447
H 2.1227 5.1987 6.5700
H 3.4310 7.2455 6.1326
H 4.9754 1.2436 7.2821
H 5.9459 4.3492 7.9605
H 2.4604 4.1399 5.4542
N 3.7166 7.5551 5.1934
N 4.6897 0.9340 8.2213
N 2.4820 0.8067 2.4708
N 5.9243 7.6824 10.9439
N 3.4683 2.2882 4.5533
N 4.9380 6.2009 8.8615
N 5.5438 0.7955 3.4835
N 2.8625 7.6936 9.9312
O 8.2948 6.8396 13.0897
O 0.1115 1.6495 0.3250
O 7.9776 4.4814 4.8748
O 0.4287 4.0077 8.5399
O 0.9679 2.3184 3.9878
O 7.4384 6.1707 9.4269
O 6.0721 7.4172 6.2511
O 2.3342 1.0719 7.1636
O 5.7337 2.0737 5.7286
O 2.6726 6.4154 7.6861
O 1.1734 7.6709 4.9098
O 7.2329 0.8182 8.5049
O 6.6878 3.8702 7.5433
O 1.7185 4.6189 5.8715
O 5.6054 3.3619 3.4766
O 2.8009 5.1272 9.9381
O 5.7655 6.9565 3.6894
O 2.6408 1.5326 9.7253
O 2.6934 3.3772 2.3283
O 5.7130 5.1118 11.0864
O 2.6371 6.8731 2.8887
O 5.7692 1.6160 10.5260
```

E, eV per cell: -388.62
Formation enthalpy at 0 K, meV/atom: -1613
Total energy after the MP2020 corrections, eV/atom: -6.117
M_tot, μB per formula unit: 0.00